[1]
## Ho4Co3 (PBE)

Data for an optimized crystal structure of Ho4Co3.

## Properties
crystal system = triclinic

Lattice parameters (Å, degrees): 4.0218 11.2232 11.2244 119.97 90.00 90.00
Closest atoms and distances in Å follow each position.
Space group P-1 (No. 2)
Unique sites:
Ho: 0.2490 0.0152 0.1357 (multiplicity 2)  7 Co 2.84-3.00
Ho: 0.2490 0.1204 0.4848 (multiplicity 2)  7 Co 2.84-3.00
Ho: 0.2488 0.2758 0.0239 (multiplicity 2)  4 Co 2.75-3.05
Ho: 0.2491 0.3643 0.3795 (multiplicity 2)  7 Co 2.84-3.00
Ho: 0.2488 0.4761 0.7519 (multiplicity 2)  4 Co 2.75-3.05
Ho: 0.2488 0.7482 0.2243 (multiplicity 2)  4 Co 2.75-3.05
Co: 0.0000 0.5000 0.0000 (multiplicity 1)  6 Ho 2.84
Co: 0.2487 0.0622 0.7179 (multiplicity 2)  1 Co 2.33
Co: 0.2487 0.6557 0.4378 (multiplicity 2)  1 Co 2.34
Co: 0.2488 0.7820 0.8443 (multiplicity 2)  1 Co 2.34
Co: 0.2496 0.8334 0.6668 (multiplicity 2)  3 Co 2.33-2.34


[2]
## UAgIO6 (PBE)

Data for an optimized crystal structure of UAgIO6.

## Properties
crystal system = monoclinic
size of the total moment = 0.00 μB per cell

Lattice parameters (Å, degrees): 15.3681 8.1130 21.9094 90.00 122.95 90.00
Closest atoms and distances in Å follow each position.
Space group P2_1/c (No. 14)
Unique sites:
U: 0.0320 0.2366 0.1220 (multiplicity 4)  2 O 1.86-1.88
U: 0.2747 0.0048 0.2811 (multiplicity 4)  2 O 1.84-1.90
U: 0.2769 0.0335 0.7813 (multiplicity 4)  2 O 1.85-1.90
U: 0.4635 0.7364 0.0903 (multiplicity 4)  2 O 1.86
Ag: 0.0056 0.0181 0.7569 (multiplicity 4)  4 O 2.40-2.59
Ag: 0.2192 0.2287 0.4032 (multiplicity 4)  4 O 2.28-2.53
Ag: 0.2389 0.7372 0.4104 (multiplicity 4)  5 O 2.46-2.72
Ag: 0.4991 0.5182 0.7551 (multiplicity 4)  6 O 2.44-2.64
I: 0.0622 0.7341 0.1445 (multiplicity 4)  4 O 1.85-2.00
I: 0.2064 0.5385 0.0578 (multiplicity 4)  3 O 1.83-1.85
I: 0.2214 0.0285 0.0431 (multiplicity 4)  3 O 1.83-1.86
I: 0.4964 0.2325 0.1035 (multiplicity 4)  4 O 1.83-2.00
O: 0.0238 0.2120 0.3213 (multiplicity 4)  1 I 1.85
O: 0.0461 0.7374 0.8359 (multiplicity 4)  1 U 1.88
O: 0.0827 0.5261 0.6709 (multiplicity 4)  1 I 2.00
O: 0.0860 0.5541 0.9678 (multiplicity 4)  1 I 1.83
O: 0.0975 0.2087 0.0720 (multiplicity 4)  1 U 1.86
O: 0.1005 0.0029 0.6562 (multiplicity 4)  1 I 1.99
O: 0.1021 0.5478 0.4620 (multiplicity 4)  1 I 1.83
O: 0.1801 0.2371 0.2290 (multiplicity 4)  3 U 2.21-2.27
O: 0.1911 0.7348 0.2328 (multiplicity 4)  1 I 1.87
O: 0.2023 0.7396 0.0940 (multiplicity 4)  1 I 1.83
O: 0.2208 0.0224 0.8400 (multiplicity 4)  1 U 1.90
O: 0.2245 0.2341 0.0084 (multiplicity 4)  1 I 1.84
O: 0.2318 0.5072 0.8474 (multiplicity 4)  1 U 1.90
O: 0.2999 0.5792 0.0311 (multiplicity 4)  1 I 1.85
O: 0.3141 0.0081 0.2153 (multiplicity 4)  1 U 1.84
O: 0.3138 0.5670 0.5240 (multiplicity 4)  1 I 1.86
O: 0.3264 0.0345 0.7208 (multiplicity 4)  1 U 1.85
O: 0.3580 0.7382 0.3320 (multiplicity 4)  1 I 1.89
O: 0.3626 0.2328 0.3374 (multiplicity 4)  3 U 2.23-2.25
O: 0.4477 0.2151 0.1630 (multiplicity 4)  1 I 1.83
O: 0.4519 0.7480 0.6702 (multiplicity 4)  1 U 1.86
O: 0.4539 0.7217 0.0023 (multiplicity 4)  1 U 1.86
O: 0.4644 0.0056 0.8862 (multiplicity 4)  1 I 2.00
O: 0.4773 0.5263 0.8767 (multiplicity 4)  1 I 2.00


[3]
## UInNi4 (PBE)

Data for an optimized crystal structure of UInNi4.

## Properties
crystal system = cubic
size of the total moment = 2.39 μB per cell

Lattice parameters (Å, degrees): 7.0099 7.0099 7.0099 90.00 90.00 90.00
Closest atoms and distances in Å follow each position.
Space group F-43m (No. 216)
Unique sites:
U: 0.0000 0.0000 0.0000 (multiplicity 4)  12 Ni 2.91, 4 In 3.04
In: 0.2500 0.2500 0.7500 (multiplicity 4)  12 Ni 2.91, 4 U 3.04
Ni: 0.1245 0.1245 0.3755 (multiplicity 16)  6 Ni 2.47-2.49


[4]
## MgTe4Mo3WS4 (PBE)

Data for an optimized crystal structure of MgTe4Mo3WS4.

## Properties
crystal system = monoclinic
energy above the most stable polymorph in this dataset = 0.000 eV per formula unit
size of the total moment = 0.12 μB per cell

Lattice parameters (Å, degrees): 5.8294 3.3659 43.2963 90.00 90.12 90.00
Closest atoms and distances in Å follow each position.
Space group Cm (No. 8)
Unique sites:
Mg: 0.0000 0.0000 0.0000 (multiplicity 2)  1 S 2.67
Te: 0.9998 0.0000 0.7606 (multiplicity 2)  3 Mo 2.71
Te: 0.3315 0.0000 0.2372 (multiplicity 2)  3 Mo 2.71
Te: 0.3330 0.0000 0.3244 (multiplicity 2)  3 Mo 2.71
Te: 0.4983 0.5000 0.6734 (multiplicity 2)  3 Mo 2.71
Mo: 0.3325 0.0000 0.0965 (multiplicity 2)  6 S 2.45-2.46
Mo: 0.3323 0.0000 0.7170 (multiplicity 2)  6 Te 2.71
Mo: 0.4989 0.5000 0.2808 (multiplicity 2)  6 Te 2.71
W: 0.0001 0.0000 0.8977 (multiplicity 2)  6 S 2.46-2.47
S: 0.9996 0.0000 0.1310 (multiplicity 2)  3 Mo 2.45
S: 0.3329 0.0000 0.8630 (multiplicity 2)  3 W 2.46
S: 0.3340 0.0000 0.9328 (multiplicity 2)  3 W 2.47
S: 0.4986 0.5000 0.0617 (multiplicity 2)  3 Mo 2.46, 1 Mg 2.67


[5]
## Sr3Sb2N4 (PBE)

Data for an optimized crystal structure of Sr3Sb2N4.

## Properties
crystal system = orthorhombic
size of the total moment = 0.00 μB per cell

Lattice parameters (Å, degrees): 7.0479 11.0814 10.2505 90.00 90.00 90.00
Closest atoms and distances in Å follow each position.
Space group Pnna (No. 52)
Unique sites:
Sr: 0.0188 0.1928 0.0860 (multiplicity 8)  3 N 2.45-2.64
Sr: 0.2500 0.0000 0.5700 (multiplicity 4)  4 N 2.53-2.80
Sb: 0.0391 0.2500 0.7500 (multiplicity 4)  2 N 2.16
Sb: 0.2500 0.0000 0.2558 (multiplicity 4)  4 N 1.99-2.08
N: 0.0578 0.0943 0.3543 (multiplicity 8)  1 Sb 1.99
N: 0.1269 0.6273 0.3675 (multiplicity 8)  2 Sb 2.08-2.16


[6]
## Y2Hf2O7 (PBE)

Data for an optimized crystal structure of Y2Hf2O7.

## Properties
crystal system = tetragonal
largest piezoelectric modulus = 0.08 C/m2
size of the total moment = 0.00 μB per cell

Lattice parameters (Å, degrees): 7.3142 7.3142 12.5236 90.00 90.00 90.00
Closest atoms and distances in Å follow each position.
Space group P4_12_12 (No. 92)
Unique sites:
Y: 0.1253 0.3630 0.3841 (multiplicity 8)  6 O 2.21-2.48
Hf: 0.0990 0.8716 0.0947 (multiplicity 8)  4 O 1.98-2.01
O: 0.0697 0.9089 0.9153 (multiplicity 8)  1 Hf 2.01
O: 0.0818 0.3259 0.5738 (multiplicity 8)  1 Hf 1.98
O: 0.1403 0.3471 0.2031 (multiplicity 8)  1 Hf 2.01, 1 Y 2.21
O: 0.1432 0.8568 0.2500 (multiplicity 4)  2 Hf 1.98


[7]
## Nd6Fe13Ag (PBE)

Data for an optimized crystal structure of Nd6Fe13Ag.

## Properties
crystal system = tetragonal
size of the total moment = 104.54 μB per cell

Lattice parameters (Å, degrees): 8.0726 8.0726 23.0863 90.00 90.00 90.00
Closest atoms and distances in Å follow each position.
Space group I4/mcm (No. 140)
Unique sites:
Nd: 0.0000 0.0000 0.1057 (multiplicity 8)  12 Fe 3.02-3.26, 1 Ag 3.33
Nd: 0.1620 0.3380 0.1858 (multiplicity 16)  3 Fe 2.92-3.07
Fe: 0.0000 0.5000 0.0000 (multiplicity 4)  12 Fe 2.40-2.56
Fe: 0.0667 0.2104 0.5000 (multiplicity 16)  10 Fe 2.40-2.65
Fe: 0.1138 0.3862 0.4043 (multiplicity 16)  7 Fe 2.51-2.65
Fe: 0.1786 0.3214 0.0594 (multiplicity 16)  9 Fe 2.46-2.74
Ag: 0.0000 0.0000 0.2500 (multiplicity 4)  10 Nd 3.33-3.37


[8]
## Ca2Sn2O5 (PBE)

Data for an optimized crystal structure of Ca2Sn2O5.

## Properties
crystal system = orthorhombic
size of the total moment = 0.00 μB per cell

Lattice parameters (Å, degrees): 5.5824 10.5663 4.1737 90.00 90.00 90.00
Closest atoms and distances in Å follow each position.
Space group Pbam (No. 55)
Unique sites:
Ca: 0.1550 0.1404 0.0000 (multiplicity 4)  4 O 2.41-2.55
Sn: 0.1694 0.3940 0.5000 (multiplicity 4)  5 O 2.11-2.16
O: 0.0000 0.0000 0.5000 (multiplicity 2)  2 Sn 2.16
O: 0.1482 0.7195 0.5000 (multiplicity 4)  2 Sn 2.11-2.14
O: 0.2248 0.3791 0.0000 (multiplicity 4)  2 Sn 2.12


[9]
## Ba3Y3N5 (PBE)

Data for an optimized crystal structure of Ba3Y3N5.

## Properties
crystal system = triclinic
size of the total moment = 0.00 μB per cell

Lattice parameters (Å, degrees): 6.6117 8.8384 9.8475 108.68 105.54 102.55
Closest atoms and distances in Å follow each position.
Space group P-1 (No. 2)
Unique sites:
Ba: 0.1730 0.3214 0.3801 (multiplicity 2)  2 N 2.67-2.87
Ba: 0.1937 0.1279 0.7158 (multiplicity 2)  4 N 2.77-3.09
Ba: 0.2578 0.9343 0.0936 (multiplicity 2)  3 N 2.73-2.88
Y: 0.2156 0.4677 0.0851 (multiplicity 2)  4 N 2.24-2.32
Y: 0.3693 0.6318 0.7895 (multiplicity 2)  4 N 2.25-2.38
Y: 0.3873 0.8061 0.4700 (multiplicity 2)  4 N 2.25-2.40
N: 0.1256 0.5788 0.9039 (multiplicity 2)  3 Y 2.24-2.30
N: 0.2539 0.7773 0.6512 (multiplicity 2)  2 Y 2.25
N: 0.2663 0.9967 0.3854 (multiplicity 2)  2 Y 2.29-2.30
N: 0.2760 0.2132 0.0279 (multiplicity 2)  2 Y 2.29-2.32
N: 0.4950 0.4069 0.6776 (multiplicity 2)  3 Y 2.32-2.40


[10]
## La3Cu4P4O2 (PBE)

Data for an optimized crystal structure of La3Cu4P4O2.

## Properties
crystal system = tetragonal
size of the total moment = 0.09 μB per cell

Lattice parameters (Å, degrees): 4.0496 4.0496 26.8986 90.00 90.00 90.00
Closest atoms and distances in Å follow each position.
Space group I4/mmm (No. 139)
Unique sites:
La: 0.0000 0.0000 0.0000 (multiplicity 2)  8 P 3.08, 8 Cu 3.24
La: 0.0000 0.0000 0.2960 (multiplicity 4)  4 O 2.37
Cu: 0.0000 0.5000 0.0939 (multiplicity 8)  4 P 2.35-2.46
P: 0.0000 0.0000 0.1381 (multiplicity 4)  4 Cu 2.35
P: 0.0000 0.0000 0.4580 (multiplicity 4)  1 P 2.26, 4 Cu 2.46
O: 0.0000 0.5000 0.2500 (multiplicity 4)  4 La 2.37


no.,ΔH_f (0 K) (meV/atom)
1,-187
2,-1968
3,-221
4,-575
5,-472
6,-3921
7,-18
8,-2442
9,-1116
10,-1543